## CsICl2 (r2SCAN)

Data for a relaxed CsICl2 crystal.

Properties
* crystal system: trigonal
* raw total energy: -16.742 eV/atom
* total magnetization: 0.00 μB per formula unit

POSCAR file:
```
CsICl2
1.0
-3.2570 -4.3558 -1.0592
3.0543 -4.6161 -0.2572
-0.7094 -2.9861 4.6134
Cs I Cl
1 1 2
Cartesian
0.0000 0.0000 0.0000
-0.4561 -5.9790 1.6485
-0.6436 -8.4370 2.3262
-0.2686 -3.5209 0.9708
```